Entry 1:
DFT (PBE+U) results for a relaxed CaPrHfFeO6 crystal.

Computed properties:
volume: 129.6 Å³/cell
calculated formation energy: -3019 kJ/mol of formula units
E_tot: -7.98 eV per atom

abc: 5.6803 5.6803 5.6803
angles: 60.00 60.00 60.00
Atoms (fractional coordinates):
1 Ca 0.7500 0.7500 0.7500
2 Pr 0.2500 0.2500 0.2500
3 Hf 0.5000 0.5000 0.5000
4 Fe 0.0000 0.0000 0.0000
5 O 0.7535 0.2465 0.2465
6 O 0.2465 0.7535 0.7535
7 O 0.7535 0.2465 0.7535
8 O 0.2465 0.7535 0.2465
9 O 0.7535 0.7535 0.2465
10 O 0.2465 0.2465 0.7535

Entry 2:
DFT (PBE+U) results for a relaxed NiH24C4S4N8Cl2O8 crystal.

Computed properties:
volume: 597.0 Å³/cell
calculated formation energy: -2443 kJ/mol of formula units
E_tot: -5.25 eV per atom

abc: 8.5488 8.9026 9.0647
angles: 74.71 76.92 64.81
Atoms (fractional coordinates):
1 Ni 0.0000 0.0000 0.0000
2 H 0.6038 0.6057 0.3874
3 H 0.3962 0.3943 0.6126
4 H 0.7345 0.3824 0.4088
5 H 0.2655 0.6176 0.5912
6 H 0.8276 0.5351 0.3003
7 H 0.1724 0.4649 0.6997
8 H 0.8280 0.3742 0.9746
9 H 0.1720 0.6258 0.0254
10 H 0.6713 0.1950 0.1293
11 H 0.3287 0.8050 0.8707
12 H 0.8183 0.1311 0.2473
13 H 0.1817 0.8689 0.7527
14 H 0.6472 0.7628 0.5906
15 H 0.3528 0.2372 0.4094
16 H 0.7721 0.6859 0.7485
17 H 0.2279 0.3141 0.2515
18 H 0.8681 0.7513 0.5545
19 H 0.1319 0.2487 0.4455
20 H 0.8502 0.0876 0.7099
21 H 0.1498 0.9124 0.2901
22 H 0.6781 0.0218 0.9600
23 H 0.3219 0.9782 0.0400
24 H 0.8258 0.8280 0.9628
25 H 0.1742 0.1720 0.0372
26 C 0.7107 0.5062 0.3328
27 C 0.2893 0.4938 0.6672
28 C 0.7493 0.7727 0.6373
29 C 0.2507 0.2273 0.3627
30 S 0.6408 0.5068 0.1630
31 S 0.3592 0.4932 0.8370
32 S 0.6681 0.9815 0.6697
33 S 0.3319 0.0185 0.3303
34 N 0.8079 0.3433 0.0935
35 N 0.1921 0.6567 0.9065
36 N 0.7953 0.1822 0.1350
37 N 0.2047 0.8178 0.8650
38 N 0.8263 0.9787 0.7544
39 N 0.1737 0.0213 0.2456
40 N 0.8045 0.9526 0.9187
41 N 0.1955 0.0474 0.0813
42 Cl 0.0099 0.7759 0.2215
43 Cl 0.9901 0.2241 0.7785
44 O 0.4841 0.4720 0.2072
45 O 0.5159 0.5280 0.7928
46 O 0.6422 0.6557 0.0494
47 O 0.3578 0.3443 0.9506
48 O 0.5084 0.0111 0.7761
49 O 0.4916 0.9889 0.2239
50 O 0.6699 0.0974 0.5228
51 O 0.3301 0.9026 0.4772

Entry 3:
DFT (PBE+U) results for a relaxed LiMn3O5F crystal.

Computed properties:
volume: 103.8 Å³/cell
calculated formation energy: -2029 kJ/mol of formula units
E_tot: -6.82 eV per atom

abc: 5.0924 5.4802 4.9533
angles: 115.24 62.81 118.91
Atoms (fractional coordinates):
1 Li 0.8493 0.6024 0.8995
2 Mn 0.1661 0.4341 0.1254
3 Mn 0.6541 0.9818 0.6585
4 Mn 0.3556 0.0392 0.3331
5 O 0.0607 0.2153 0.4132
6 O 0.5216 0.7539 0.2894
7 O 0.2702 0.7582 0.9504
8 O 0.7705 0.2408 0.0327
9 O 0.4519 0.2278 0.7243
10 F 0.8999 0.7465 0.5735

Entry 4:
DFT (PBE+U) results for a relaxed BaNaSmWO6 crystal.

Computed properties:
volume: 604.0 Å³/cell
calculated formation energy: -2780 kJ/mol of formula units
E_tot: -7.09 eV per atom

abc: 8.4134 8.4631 8.4835
angles: 90.00 90.00 90.00
Atoms (fractional coordinates):
1 Ba 0.0000 0.0000 0.0000
2 Ba 0.5000 0.5000 0.5000
3 Ba 0.5000 0.5000 0.0000
4 Ba 0.0000 0.0000 0.5000
5 Na 0.0000 0.5000 0.5000
6 Na 0.5000 0.0000 0.5000
7 Na 0.5000 0.0000 0.0000
8 Na 0.0000 0.5000 0.0000
9 Sm 0.7500 0.7500 0.7500
10 Sm 0.2500 0.2500 0.7500
11 Sm 0.2500 0.7500 0.2500
12 Sm 0.7500 0.2500 0.2500
13 W 0.2500 0.2500 0.2500
14 W 0.7500 0.7500 0.2500
15 W 0.7500 0.2500 0.7500
16 W 0.2500 0.7500 0.7500
17 O 0.0206 0.2183 0.2715
18 O 0.9794 0.7817 0.2715
19 O 0.9794 0.2183 0.7285
20 O 0.0206 0.7817 0.7285
21 O 0.2709 0.0222 0.2162
22 O 0.2709 0.9778 0.7838
23 O 0.7291 0.9778 0.2162
24 O 0.7291 0.0222 0.7838
25 O 0.2207 0.2803 0.0221
26 O 0.7793 0.2803 0.9779
27 O 0.2207 0.7197 0.9779
28 O 0.7793 0.7197 0.0221
29 O 0.4794 0.2817 0.2285
30 O 0.5206 0.7183 0.2285
31 O 0.5206 0.2817 0.7715
32 O 0.4794 0.7183 0.7715
33 O 0.2291 0.4778 0.2838
34 O 0.2291 0.5222 0.7162
35 O 0.7709 0.5222 0.2838
36 O 0.7709 0.4778 0.7162
37 O 0.2793 0.2197 0.4779
38 O 0.7207 0.2197 0.5221
39 O 0.2793 0.7803 0.5221
40 O 0.7207 0.7803 0.4779

Entry 5:
DFT (PBE+U) results for a relaxed BaMnPClO4F crystal.

Computed properties:
volume: 552.9 Å³/cell
calculated formation energy: -2414 kJ/mol of formula units
E_tot: -6.69 eV per atom

abc: 8.7103 7.3461 9.0604
angles: 72.49 90.00 90.00
Atoms (fractional coordinates):
1 Ba 0.7683 0.0420 0.1154
2 Ba 0.2683 0.9580 0.3846
3 Ba 0.2317 0.9580 0.8846
4 Ba 0.7317 0.0420 0.6154
5 Mn 0.9986 0.3887 0.7740
6 Mn 0.4986 0.6113 0.7260
7 Mn 0.0014 0.6113 0.2260
8 Mn 0.5014 0.3887 0.2740
9 P 0.7514 0.5527 0.9879
10 P 0.2514 0.4473 0.5121
11 P 0.2486 0.4473 0.0121
12 P 0.7486 0.5527 0.4879
13 Cl 0.0338 0.7676 0.6725
14 Cl 0.5338 0.2324 0.8275
15 Cl 0.9662 0.2324 0.3275
16 Cl 0.4662 0.7676 0.1725
17 O 0.6515 0.4112 0.1120
18 O 0.1515 0.5888 0.3880
19 O 0.3485 0.5888 0.8880
20 O 0.8485 0.4112 0.6120
21 O 0.8537 0.4170 0.9288
22 O 0.3537 0.5830 0.5712
23 O 0.1463 0.5830 0.0712
24 O 0.6463 0.4170 0.4288
25 O 0.6551 0.6869 0.8561
26 O 0.1551 0.3131 0.6439
27 O 0.3449 0.3131 0.1439
28 O 0.8449 0.6869 0.3561
29 O 0.8460 0.6838 0.0593
30 O 0.3460 0.3162 0.4407
31 O 0.1540 0.3162 0.9407
32 O 0.6540 0.6838 0.5593
33 F 0.9302 0.0917 0.8442
34 F 0.4302 0.9083 0.6558
35 F 0.0698 0.9083 0.1558
36 F 0.5698 0.0917 0.3442

Entry 6:
DFT (PBE+U) results for a relaxed NdMnO3 crystal.

Computed properties:
volume: 249.8 Å³/cell
calculated formation energy: -1430 kJ/mol of formula units
E_tot: -7.97 eV per atom

abc: 5.5023 5.9206 7.6684
angles: 90.00 90.00 90.00
Atoms (fractional coordinates):
1 Nd 0.5154 0.4279 0.2500
2 Nd 0.9846 0.9279 0.2500
3 Nd 0.4846 0.5721 0.7500
4 Nd 0.0154 0.0721 0.7500
5 Mn 0.0000 0.5000 0.0000
6 Mn 0.5000 0.0000 0.5000
7 Mn 0.0000 0.5000 0.5000
8 Mn 0.5000 0.0000 0.0000
9 O 0.4020 0.0272 0.2500
10 O 0.0980 0.5272 0.2500
11 O 0.5980 0.9728 0.7500
12 O 0.9020 0.4728 0.7500
13 O 0.7868 0.1836 0.0487
14 O 0.7132 0.6836 0.4513
15 O 0.2132 0.8164 0.5487
16 O 0.2868 0.3164 0.9513
17 O 0.2132 0.8164 0.9513
18 O 0.2868 0.3164 0.5487
19 O 0.7868 0.1836 0.4513
20 O 0.7132 0.6836 0.0487

Entry 7:
DFT (PBE+U) results for a relaxed Fe3OF5 crystal.

Computed properties:
volume: 222.7 Å³/cell
calculated formation energy: -2070 kJ/mol of formula units
E_tot: -5.74 eV per atom

abc: 10.7607 10.7607 3.1805
angles: 90.00 90.00 142.80
Atoms (fractional coordinates):
1 Fe 0.0000 0.0000 0.0000
2 Fe 0.5000 0.5000 0.5000
3 Fe 0.6545 0.3455 0.0000
4 Fe 0.8303 0.1697 0.5000
5 Fe 0.1697 0.8303 0.5000
6 Fe 0.3455 0.6545 0.0000
7 O 0.6024 0.3976 0.5000
8 O 0.3976 0.6024 0.5000
9 F 0.2950 0.2950 0.0000
10 F 0.3780 0.0371 0.0000
11 F 0.7050 0.7050 0.0000
12 F 0.7293 0.2707 0.5000
13 F 0.0698 0.9302 0.5000
14 F 0.9629 0.6220 0.0000
15 F 0.0371 0.3780 0.0000
16 F 0.9302 0.0698 0.5000
17 F 0.2707 0.7293 0.5000
18 F 0.6220 0.9629 0.0000

Entry 8:
DFT (PBE+U) results for a relaxed MgV4Ge4O16 crystal.

Computed properties:
volume: 286.9 Å³/cell
calculated formation energy: -5259 kJ/mol of formula units
E_tot: -6.89 eV per atom

abc: 4.8382 5.3332 11.1572
angles: 94.72 90.94 90.50
Atoms (fractional coordinates):
1 Mg 0.4955 0.2686 0.2352
2 V 0.9563 0.7817 0.5768
3 V 0.5174 0.7430 0.0671
4 V 0.4656 0.2436 0.9172
5 V 0.9902 0.2622 0.4355
6 Ge 0.0205 0.7532 0.8427
7 Ge 0.4466 0.3698 0.6463
8 Ge 0.4318 0.7970 0.3707
9 Ge 0.9497 0.2007 0.1290
10 O 0.2867 0.0864 0.3442
11 O 0.2246 0.6126 0.4660
12 O 0.2855 0.1227 0.0822
13 O 0.2074 0.1306 0.5778
14 O 0.4038 0.6227 0.2284
15 O 0.2221 0.0424 0.8451
16 O 0.2065 0.6124 0.6986
17 O 0.2440 0.5656 0.9441
18 O 0.7318 0.3923 0.0371
19 O 0.8972 0.3787 0.2738
20 O 0.7510 0.9541 0.1787
21 O 0.6477 0.3364 0.7789
22 O 0.7499 0.9167 0.4476
23 O 0.7483 0.8861 0.9438
24 O 0.7208 0.4519 0.5430
25 O 0.7897 0.8437 0.7123

Entry 9:
DFT (PBE+U) results for a relaxed TlCrP2O7 crystal.

Computed properties:
volume: 617.0 Å³/cell
calculated formation energy: -2644 kJ/mol of formula units
E_tot: -7.10 eV per atom

abc: 10.0966 7.6108 8.3610
angles: 73.80 90.00 90.00
Atoms (fractional coordinates):
1 Tl 0.8140 0.3170 0.0522
2 Tl 0.3140 0.6830 0.4478
3 Tl 0.1860 0.6830 0.9478
4 Tl 0.6860 0.3170 0.5522
5 Cr 0.6012 0.7391 0.7399
6 Cr 0.1012 0.2609 0.7601
7 Cr 0.3988 0.2609 0.2601
8 Cr 0.8988 0.7391 0.2399
9 P 0.6313 0.9319 0.3114
10 P 0.1313 0.0681 0.1886
11 P 0.3687 0.0681 0.6886
12 P 0.8687 0.9319 0.8114
13 P 0.5970 0.6293 0.1685
14 P 0.0970 0.3707 0.3315
15 P 0.4030 0.3707 0.8315
16 P 0.9030 0.6293 0.6685
17 O 0.5901 0.6454 0.9853
18 O 0.0901 0.3546 0.5147
19 O 0.4099 0.3546 0.0147
20 O 0.9099 0.6454 0.4853
21 O 0.7628 0.5851 0.7431
22 O 0.2628 0.4149 0.7569
23 O 0.2372 0.4149 0.2569
24 O 0.7372 0.5851 0.2431
25 O 0.4995 0.5114 0.7245
26 O 0.9995 0.4886 0.7755
27 O 0.5005 0.4886 0.2755
28 O 0.0005 0.5114 0.2245
29 O 0.5541 0.8258 0.1930
30 O 0.0541 0.1742 0.3070
31 O 0.4459 0.1742 0.8070
32 O 0.9459 0.8258 0.6930
33 O 0.7215 0.9438 0.7598
34 O 0.2215 0.0562 0.7402
35 O 0.2785 0.0562 0.2402
36 O 0.7785 0.9438 0.2598
37 O 0.9275 0.1245 0.7641
38 O 0.4275 0.8755 0.7359
39 O 0.0725 0.8755 0.2359
40 O 0.5725 0.1245 0.2641
41 O 0.8966 0.8185 0.9890
42 O 0.3966 0.1815 0.5110
43 O 0.1034 0.1815 0.0110
44 O 0.6034 0.8185 0.4890

Entry 10:
DFT (PBE+U) results for a relaxed La2MgFe2W2O12 crystal.

Computed properties:
volume: 246.4 Å³/cell
calculated formation energy: -4705 kJ/mol of formula units
E_tot: -7.41 eV per atom

abc: 5.6584 5.5412 7.8623
angles: 89.70 91.72 89.81
Atoms (fractional coordinates):
1 La 0.9411 0.9933 0.2939
2 La 0.4634 0.5036 0.7571
3 Mg 0.4520 0.9981 0.0208
4 Fe 0.8735 0.0104 0.8112
5 Fe 0.9593 0.5027 0.5240
6 W 0.4601 0.0023 0.5091
7 W 0.9764 0.5000 0.0195
8 O 0.9559 0.6010 0.7723
9 O 0.1425 0.1975 0.9586
10 O 0.2345 0.2709 0.5623
11 O 0.2590 0.6772 0.0347
12 O 0.1868 0.7755 0.4901
13 O 0.4790 0.0626 0.2735
14 O 0.5026 0.9314 0.7626
15 O 0.7509 0.2177 0.5687
16 O 0.6901 0.2972 0.9679
17 O 0.6984 0.7307 0.4774
18 O 0.7821 0.7909 0.0474
19 O 0.9662 0.4283 0.2576

Entry 11:
DFT (PBE+U) results for a relaxed Li5Fe3Cu2O10 crystal.

Computed properties:
volume: 185.4 Å³/cell
calculated formation energy: -3236 kJ/mol of formula units
E_tot: -5.63 eV per atom

abc: 5.1174 5.1325 7.9023
angles: 108.76 102.21 100.01
Atoms (fractional coordinates):
1 Li 0.2128 0.9027 0.4145
2 Li 0.3832 0.2851 0.7764
3 Li 0.5000 0.5000 0.5000
4 Li 0.6168 0.7149 0.2236
5 Li 0.7872 0.0973 0.5855
6 Fe 0.0000 0.5000 0.0000
7 Fe 0.6875 0.8907 0.8857
8 Fe 0.3125 0.1093 0.1143
9 Cu 0.0967 0.6959 0.6895
10 Cu 0.9033 0.3041 0.3105
11 O 0.0484 0.1067 0.8618
12 O 0.3353 0.7121 0.9455
13 O 0.1358 0.3129 0.5446
14 O 0.2325 0.4818 0.2327
15 O 0.4484 0.8970 0.6619
16 O 0.5516 0.1030 0.3381
17 O 0.7675 0.5182 0.7673
18 O 0.8642 0.6871 0.4554
19 O 0.6647 0.2879 0.0545
20 O 0.9516 0.8933 0.1382

Entry 12:
DFT (PBE+U) results for a relaxed Na2FeO3 crystal.

Computed properties:
volume: 136.7 Å³/cell
calculated formation energy: -946 kJ/mol of formula units
E_tot: -5.24 eV per atom

abc: 5.3731 5.3729 5.7760
angles: 80.83 99.17 59.90
Atoms (fractional coordinates):
1 Na 0.1586 0.1586 0.5000
2 Na 0.8414 0.8414 0.5000
3 Na 0.5000 0.5000 0.5000
4 Na 0.0000 0.0000 0.0000
5 Fe 0.6666 0.6666 0.0000
6 Fe 0.3334 0.3334 0.0000
7 O 0.3080 0.6920 0.7950
8 O 0.0720 0.5494 0.2024
9 O 0.4506 0.9280 0.2024
10 O 0.9280 0.4506 0.7976
11 O 0.5494 0.0720 0.7976
12 O 0.6920 0.3080 0.2050

Entry 13:
DFT (PBE+U) results for a relaxed CaLa4Ga2Fe2O12 crystal.

Computed properties:
volume: 301.3 Å³/cell
calculated formation energy: -5792 kJ/mol of formula units
E_tot: -7.21 eV per atom

abc: 6.5082 6.3382 7.3206
angles: 86.29 90.87 90.20
Atoms (fractional coordinates):
1 Ca 0.2071 0.8558 0.7031
2 La 0.3820 0.3678 0.7267
3 La 0.8644 0.1582 0.7809
4 La 0.5674 0.4477 0.2351
5 La 0.0850 0.0466 0.2503
6 Ga 0.0292 0.6113 0.0191
7 Ga 0.5806 0.8887 0.4788
8 Fe 0.9656 0.5130 0.4835
9 Fe 0.5006 0.9622 0.0172
10 O 0.5321 0.9783 0.7157
11 O 0.0326 0.5316 0.7747
12 O 0.4758 0.0655 0.2808
13 O 0.9621 0.4176 0.2124
14 O 0.6871 0.3577 0.5344
15 O 0.1977 0.1132 0.9398
16 O 0.3219 0.6719 0.0213
17 O 0.8635 0.8277 0.4687
18 O 0.3652 0.6781 0.4765
19 O 0.8494 0.8420 0.0404
20 O 0.6237 0.2870 0.9668
21 O 0.1331 0.1995 0.5404